(1)
DFT (GGA-PBE) results for Tl3In after structural relaxation.

Geometry as POSCAR:
```
Tl3In
1.0
-2.297 1.478 2.108
-1.759 -1.757 -2.392
0.161 -8.722 6.290
In Tl
1 3
Direct
0.000 0.000 0.000
0.500 0.500 0.765
0.500 0.500 0.235
0.000 0.000 0.500
```

Values from the calculation:
Formation enthalpy at 0 K (eV per atom): 0.0110

(2)
DFT (GGA-PBE) results for Na2CaZr2Si10O27 after structural relaxation.

Geometry as POSCAR:
```
Na2CaZr2Si10O27
1.0
7.755 5.143 0.000
-7.755 5.143 0.000
0.000 4.775 18.465
O Si Na Ca Zr
54 20 4 2 4
Direct
0.466 0.745 0.213
0.818 0.265 0.305
0.265 0.818 0.805
0.380 0.855 0.439
0.799 0.521 0.567
0.648 0.659 0.641
0.277 0.937 0.068
0.513 0.200 0.796
0.063 0.714 0.936
0.858 0.384 0.426
0.613 0.146 0.576
0.296 0.814 0.312
0.732 0.180 0.698
0.033 0.247 0.872
0.814 0.296 0.812
0.200 0.513 0.296
0.515 0.811 0.564
0.146 0.613 0.076
0.973 0.764 0.123
0.247 0.033 0.372
0.937 0.277 0.568
0.481 0.790 0.709
0.337 0.348 0.360
0.500 0.550 0.985
0.659 0.648 0.141
0.245 0.529 0.793
0.714 0.063 0.436
0.616 0.138 0.066
0.811 0.515 0.064
0.024 0.227 0.381
0.197 0.466 0.940
0.186 0.479 0.440
0.733 0.063 0.931
0.182 0.702 0.691
0.466 0.197 0.440
0.935 0.260 0.072
0.260 0.935 0.572
0.702 0.182 0.191
0.138 0.616 0.566
0.180 0.732 0.198
0.063 0.733 0.431
0.764 0.973 0.623
0.348 0.337 0.860
0.227 0.024 0.881
0.521 0.799 0.067
0.745 0.466 0.713
0.384 0.858 0.926
0.960 0.750 0.633
0.790 0.481 0.209
0.479 0.186 0.940
0.529 0.245 0.293
0.550 0.500 0.485
0.750 0.960 0.133
0.855 0.380 0.939
0.599 0.808 0.633
0.596 0.788 0.138
0.187 0.396 0.371
0.142 0.751 0.613
0.760 0.154 0.615
0.788 0.596 0.638
0.844 0.234 0.388
0.208 0.399 0.867
0.294 0.710 0.750
0.808 0.599 0.133
0.700 0.285 0.754
0.710 0.294 0.250
0.234 0.844 0.888
0.399 0.208 0.367
0.154 0.760 0.115
0.247 0.851 0.391
0.851 0.247 0.891
0.396 0.187 0.871
0.285 0.700 0.254
0.751 0.142 0.113
0.969 0.942 0.396
0.067 0.047 0.093
0.047 0.067 0.593
0.942 0.969 0.896
0.623 0.371 0.003
0.371 0.623 0.503
0.496 0.024 0.506
0.972 0.498 0.498
0.024 0.496 0.006
0.498 0.972 0.998
```

Values from the calculation:
Polymorph energy (0 for the lowest one) (eV/atom): 0.0021
Formation enthalpy at 0 K (eV per atom): -3.1181

(3)
DFT (GGA-PBE) results for Sc2TcPt after structural relaxation.

Geometry as POSCAR:
```
Sc2TcPt
1.0
3.998 -0.849 2.111
1.194 2.422 3.724
0.035 -2.010 4.138
Tc Sc Pt
1 2 1
Direct
0.000 0.000 0.000
0.250 0.250 0.250
0.750 0.750 0.750
0.500 0.500 0.500
```

Values from the calculation:
Formation enthalpy at 0 K (eV per atom): -0.7490

(4)
DFT (GGA-PBE) results for Ti2SN2 after structural relaxation.

Geometry as POSCAR:
```
Ti2SN2
1.0
3.396 0.000 0.000
-1.698 2.941 0.000
0.000 0.000 6.149
N Ti S
2 2 1
Direct
0.333 0.667 0.636
0.667 0.333 0.364
0.333 0.667 0.301
0.667 0.333 0.699
0.000 0.000 0.000
```

Values from the calculation:
Formation enthalpy at 0 K (eV per atom): -1.5789

(5)
DFT (GGA-PBE) results for Mg6TiBiO8 after structural relaxation.

Geometry as POSCAR:
```
Mg6TiBiO8
1.0
9.038 0.000 0.000
0.000 4.520 0.000
0.000 0.000 4.520
O Mg Bi Ti
8 6 1 1
Direct
0.247 0.500 0.500
0.500 0.000 0.500
0.771 0.000 0.000
0.753 0.500 0.500
0.229 0.000 0.000
0.000 0.500 0.000
0.000 0.000 0.500
0.500 0.500 0.000
0.500 0.500 0.500
0.000 0.500 0.500
0.237 0.500 0.000
0.763 0.000 0.500
0.237 0.000 0.500
0.763 0.500 0.000
0.500 0.000 0.000
0.000 0.000 0.000
```

Values from the calculation:
Polymorph energy (0 for the lowest one) (eV/atom): 0.0246
Formation enthalpy at 0 K (eV per atom): -2.4083

(6)
DFT (GGA-PBE) results for DyAlGe2O7 after structural relaxation.

Geometry as POSCAR:
```
DyAlGe2O7
1.0
6.538 0.000 0.000
0.000 7.224 0.000
0.000 5.914 11.229
O Al Ge Dy
28 4 8 4
Direct
0.883 0.279 0.779
0.444 0.708 0.132
0.171 0.089 0.978
0.154 0.487 0.918
0.622 0.077 0.691
0.683 0.656 0.313
0.617 0.279 0.279
0.346 0.487 0.418
0.378 0.923 0.309
0.056 0.708 0.632
0.122 0.923 0.809
0.329 0.089 0.478
0.504 0.249 0.076
0.996 0.249 0.576
0.944 0.292 0.368
0.829 0.911 0.022
0.117 0.721 0.221
0.383 0.721 0.721
0.654 0.513 0.582
0.671 0.911 0.522
0.556 0.292 0.868
0.183 0.344 0.187
0.317 0.344 0.687
0.878 0.077 0.191
0.846 0.513 0.082
0.817 0.656 0.813
0.496 0.751 0.924
0.004 0.751 0.424
0.101 0.710 0.772
0.899 0.290 0.228
0.399 0.710 0.272
0.601 0.290 0.728
0.410 0.197 0.223
0.656 0.714 0.047
0.590 0.803 0.777
0.156 0.286 0.453
0.844 0.714 0.547
0.910 0.803 0.277
0.344 0.286 0.953
0.090 0.197 0.723
0.355 0.743 0.529
0.145 0.743 0.029
0.645 0.257 0.471
0.855 0.257 0.971
```

Values from the calculation:
Formation enthalpy at 0 K (eV per atom): -2.8755

(7)
DFT (GGA-PBE) results for NdCo2As2 after structural relaxation.

Geometry as POSCAR:
```
NdCo2As2
1.0
-2.027 2.027 5.138
2.027 -2.027 5.138
2.027 2.027 -5.138
Co Nd As
2 1 2
Direct
0.750 0.250 0.500
0.250 0.750 0.500
0.000 0.000 0.000
0.365 0.365 0.000
0.635 0.635 0.000
```

Values from the calculation:
Formation enthalpy at 0 K (eV per atom): -0.7292

(8)
DFT (GGA-PBE) results for PrLuIn2 after structural relaxation.

Geometry as POSCAR:
```
PrLuIn2
1.0
-0.141 3.422 4.140
-3.355 -0.883 4.103
1.940 -1.490 4.784
In Pr Lu
2 1 1
Direct
0.250 0.250 0.250
0.750 0.750 0.750
0.000 0.000 0.000
0.500 0.500 0.500
```

Values from the calculation:
Formation enthalpy at 0 K (eV per atom): -0.4287

(9)
DFT (GGA-PBE) results for Na6Ta4Ti4Si9S3O48 after structural relaxation.

Geometry as POSCAR:
```
Na6Ta4Ti4Si9S3O48
1.0
-15.385 -8.824 -0.261
7.662 -4.454 0.440
-0.838 0.730 22.474
O Si Na Ta S Ti
144 27 18 12 9 12
Direct
0.253 0.368 0.423
0.748 0.643 0.859
0.256 0.139 0.640
0.321 0.493 0.923
0.746 0.637 0.573
0.766 0.838 0.474
0.586 0.684 0.757
0.258 0.825 0.758
0.098 0.024 0.309
0.179 0.500 0.080
0.819 0.503 0.640
0.150 0.473 0.754
0.486 0.810 0.093
0.415 0.318 0.246
0.399 0.967 0.689
0.321 0.513 0.636
0.848 0.529 0.522
0.589 0.202 0.412
0.912 0.521 0.029
0.567 0.636 0.354
0.409 0.795 0.585
0.416 0.516 0.742
0.246 0.134 0.922
0.420 0.032 0.806
0.417 0.020 0.090
0.990 0.181 0.304
0.410 0.802 0.304
0.676 0.852 0.858
0.233 0.301 0.028
0.822 0.132 0.137
0.413 0.307 0.528
0.096 0.025 0.589
0.575 0.464 0.970
0.986 0.161 0.591
0.735 0.165 0.527
0.267 0.697 0.257
0.074 0.644 0.076
0.581 0.977 0.912
0.933 0.511 0.420
0.175 0.505 0.358
0.235 0.167 0.524
0.435 0.363 0.645
0.901 0.831 0.189
0.407 0.973 0.410
0.684 0.516 0.077
0.433 0.359 0.923
0.598 0.032 0.307
0.246 0.855 0.074
0.078 0.465 0.256
0.342 0.534 0.528
0.406 0.841 0.910
0.746 0.358 0.421
0.559 0.479 0.862
0.348 0.167 0.023
0.082 0.961 0.194
0.486 0.167 0.308
0.013 0.205 0.197
0.416 0.528 0.028
0.752 0.145 0.644
0.934 0.503 0.146
0.089 0.976 0.913
0.248 0.639 0.858
0.243 0.174 0.245
0.754 0.140 0.924
0.656 0.459 0.470
0.586 0.482 0.256
0.481 0.151 0.588
0.095 0.164 0.807
0.651 0.829 0.975
0.821 0.151 0.421
0.583 0.206 0.695
0.155 0.851 0.971
0.599 0.170 0.810
0.318 0.133 0.140
0.654 0.482 0.759
0.428 0.501 0.425
0.015 0.187 0.909
0.747 0.857 0.357
0.755 0.871 0.080
0.517 0.841 0.691
0.264 0.691 0.975
0.089 0.157 0.094
0.651 0.829 0.254
0.013 0.825 0.411
0.079 0.193 0.693
0.061 0.645 0.360
0.509 0.187 0.193
0.743 0.307 0.745
0.009 0.831 0.694
0.752 0.370 0.140
0.986 0.804 0.809
0.736 0.304 0.024
0.918 0.814 0.589
0.915 0.511 0.746
0.320 0.143 0.422
0.251 0.359 0.144
0.595 0.166 0.088
0.074 0.509 0.575
0.591 0.028 0.590
0.758 0.688 0.257
0.350 0.172 0.745
0.434 0.502 0.146
0.929 0.357 0.926
0.851 0.525 0.244
0.150 0.817 0.258
0.917 0.306 0.528
0.074 0.690 0.469
0.769 0.839 0.756
0.081 0.190 0.408
0.086 0.690 0.756
0.744 0.176 0.241
0.241 0.305 0.741
0.679 0.859 0.580
0.264 0.832 0.478
0.151 0.475 0.475
0.982 0.807 0.090
0.251 0.861 0.360
0.911 0.019 0.804
0.515 0.841 0.407
0.253 0.637 0.578
0.575 0.641 0.076
0.581 0.969 0.193
0.679 0.482 0.362
0.896 0.972 0.696
0.845 0.152 0.030
0.184 0.854 0.575
0.922 0.305 0.247
0.348 0.544 0.248
0.850 0.155 0.748
0.486 0.800 0.807
0.921 0.812 0.304
0.179 0.876 0.862
0.574 0.501 0.574
0.394 0.819 0.197
0.906 0.841 0.910
0.066 0.496 0.854
0.819 0.499 0.922
0.906 0.977 0.406
0.085 0.477 0.973
0.586 0.695 0.472
0.935 0.366 0.646
0.513 0.203 0.913
0.763 0.694 0.978
0.911 0.026 0.088
0.311 0.950 0.420
0.979 0.337 0.588
0.150 0.002 0.251
0.525 0.667 0.414
0.647 0.008 0.248
0.355 0.990 0.749
0.147 0.285 0.748
0.690 0.341 0.081
0.477 0.331 0.585
0.499 0.292 0.250
0.686 0.051 0.589
0.650 0.294 0.752
0.167 0.385 0.417
0.187 0.324 0.089
0.479 0.620 0.088
0.193 0.046 0.583
0.833 0.622 0.581
0.665 0.951 0.916
0.501 0.709 0.747
0.807 0.672 0.917
0.854 0.715 0.248
0.025 0.382 0.914
0.999 0.706 0.751
0.808 0.953 0.415
0.310 0.667 0.915
0.977 0.614 0.085
0.333 0.044 0.081
0.502 0.366 0.747
0.998 0.008 0.502
0.500 0.626 0.247
0.823 0.315 0.331
0.335 0.967 0.588
0.329 0.319 0.331
0.004 0.015 0.002
0.505 0.000 0.507
0.001 0.638 0.246
0.000 0.375 0.748
0.498 0.989 0.998
0.328 0.340 0.828
0.833 0.703 0.082
0.172 0.675 0.165
0.667 0.666 0.668
0.166 0.675 0.670
0.828 0.339 0.829
0.664 0.656 0.168
0.332 0.344 0.983
0.002 0.002 0.355
0.504 0.010 0.357
0.333 0.326 0.475
0.832 0.321 0.484
0.002 0.996 0.856
0.500 0.988 0.852
0.168 0.652 0.025
0.668 0.684 0.526
0.505 0.012 0.141
0.006 0.998 0.641
0.832 0.340 0.973
0.355 0.715 0.251
0.834 0.050 0.084
0.022 0.665 0.416
0.169 0.954 0.917
0.856 0.996 0.750
0.522 0.379 0.917
0.669 0.384 0.416
0.001 0.288 0.249
0.333 0.617 0.583
0.332 0.312 0.185
0.176 0.682 0.316
0.508 0.017 0.651
0.670 0.673 0.812
0.664 0.675 0.021
0.168 0.652 0.807
0.828 0.348 0.187
0.667 0.683 0.307
0.335 0.317 0.691
0.167 0.655 0.524
0.006 0.982 0.146
0.830 0.349 0.685
```

Values from the calculation:
Formation enthalpy at 0 K (eV per atom): -2.9605